(one)
! Sr2CuCO5 (GGA-PBE, relaxed); values from VASP
&SYSTEM
  ibrav = 0, nat = 18, ntyp = 4
/
ATOMIC_SPECIES
O 16.00 O.upf
C 12.01 C.upf
Sr 87.62 Sr.upf
Cu 63.55 Cu.upf
CELL_PARAMETERS angstrom
0.1641 -0.3208 -5.5450
-7.5245 -3.2157 2.7475
-3.8737 3.9690 -0.3443
ATOMIC_POSITIONS crystal
O 0.4307 0.5741 0.5693
O 0.1434 0.5741 0.8566
O 0.7523 0.0086 0.2477
O 0.8566 0.4259 0.4307
C 0.7545 0.5089 0.2455
Sr 0.8873 0.7746 0.6127
O 0.2563 0.0086 0.7437
C 0.2455 0.4911 0.7545
O 0.7437 0.9914 0.7523
O 0.8390 0.6779 0.1610
O 0.1610 0.3221 0.8390
Sr 0.3873 0.7746 0.1127
O 0.2477 0.9914 0.2563
Cu 0.0000 0.0000 0.0000
Cu 0.5000 0.0000 0.5000
Sr 0.6127 0.2254 0.8873
O 0.5693 0.4259 0.1434
Sr 0.1127 0.2254 0.3873
! ρ: 4.63 Mg/m³
! Total magnetization: 0.0 μB/f.u.
! Space group: No. 121


(two)
! Sr2CuCO5 (GGA-PBE, relaxed); values from VASP
&SYSTEM
  ibrav = 0, nat = 36, ntyp = 4
/
ATOMIC_SPECIES
Sr 87.62 Sr.upf
C 12.01 C.upf
O 16.00 O.upf
Cu 63.55 Cu.upf
CELL_PARAMETERS angstrom
-3.9389 3.9389 7.6554
3.9389 -3.9389 7.6554
3.9389 3.9389 -7.6554
ATOMIC_POSITIONS crystal
Sr 0.8864 0.8864 0.0000
C 0.0129 0.4914 0.0065
O 0.7576 0.0084 0.7489
Cu 0.2501 0.7500 0.0002
Sr 0.1136 0.1136 0.0000
O 0.3439 0.4446 0.4233
Sr 0.8802 0.3802 0.5000
O 0.2595 0.0088 0.2511
O 0.5554 0.9786 0.8992
Cu 0.2500 0.2501 0.5000
C 0.4849 0.0063 0.9935
O 0.2400 0.4907 0.7497
O 0.9916 0.7405 0.7492
O 0.0208 0.3357 0.8408
C 0.5086 0.5151 0.5215
O 0.6643 0.5051 0.6852
O 0.8200 0.9792 0.3148
Sr 0.1035 0.6035 0.5000
O 0.4949 0.1800 0.1592
O 0.5093 0.2590 0.7493
Sr 0.3965 0.8965 0.5000
Cu 0.7501 0.7499 0.5000
Sr 0.6198 0.1198 0.5000
O 0.5210 0.5958 0.4586
Sr 0.3863 0.3863 0.0000
O 0.0214 0.9206 0.5767
Sr 0.6137 0.6137 0.0000
O 0.0794 0.6561 0.1008
Cu 0.7499 0.2499 0.9998
O 0.1372 0.0623 0.5414
O 0.5097 0.7600 0.2507
O 0.7410 0.4903 0.2503
C 0.9937 0.9871 0.4785
O 0.4042 0.8628 0.9252
O 0.9377 0.4790 0.0748
O 0.9912 0.2424 0.2508
! ρ: 4.62 Mg/m³
! Total magnetization: 0.0 μB/f.u.
! Space group: No. 82


It turns out (two) is the most stable, with the second structure 0.6 kJ/mol of atoms higher.


(one)
! Mg6TiB (GGA-PBE, relaxed); values from VASP
&SYSTEM
  ibrav = 0, nat = 16, ntyp = 3
/
ATOMIC_SPECIES
Mg 24.30 Mg.upf
B 10.81 B.upf
Ti 47.87 Ti.upf
CELL_PARAMETERS angstrom
-3.9750 2.5330 0.4641
-2.3080 -4.1930 3.1164
4.0321 4.6373 9.2258
ATOMIC_POSITIONS crystal
Mg 0.0000 0.0000 0.8097
Mg 0.0000 0.2503 0.5820
Mg 0.0000 0.7497 0.5820
B 0.5000 0.5000 0.1592
Mg 0.0000 0.0000 0.3303
Mg 0.0000 0.5000 0.3097
Mg 0.5000 0.7493 0.9288
Mg 0.5000 0.2507 0.9288
Mg 0.0000 0.7503 0.0820
B 0.5000 0.0000 0.6592
Mg 0.0000 0.2497 0.0820
Mg 0.5000 0.2493 0.4288
Ti 0.5000 0.0000 0.1792
Mg 0.0000 0.5000 0.8303
Ti 0.5000 0.5000 0.6792
Mg 0.5000 0.7507 0.4288
! ρ: 2.27 Mg/m³
! Total magnetization: 0.0 μB/f.u.


(two)
! Mg6TiB (GGA-PBE, relaxed); values from VASP
&SYSTEM
  ibrav = 0, nat = 16, ntyp = 3
/
ATOMIC_SPECIES
Mg 24.30 Mg.upf
B 10.81 B.upf
Ti 47.87 Ti.upf
CELL_PARAMETERS angstrom
4.5674 0.0000 0.0000
0.0000 6.2987 0.0000
0.0000 0.0000 10.8514
ATOMIC_POSITIONS crystal
Mg 0.0000 0.2375 0.5827
B 0.5000 0.0000 0.7191
B 0.5000 0.5000 0.2191
Mg 0.5000 0.7619 0.9038
Mg 0.5000 0.0000 0.1656
Mg 0.5000 0.5000 0.6656
Mg 0.0000 0.0000 0.3322
Mg 0.0000 0.5000 0.8322
Mg 0.0000 0.7375 0.0827
Mg 0.5000 0.2619 0.4038
Ti 0.0000 0.5000 0.3100
Mg 0.0000 0.2625 0.0827
Mg 0.0000 0.7625 0.5827
Mg 0.5000 0.7381 0.4038
Ti 0.0000 0.0000 0.8100
Mg 0.5000 0.2381 0.9038
! ρ: 2.18 Mg/m³
! Total magnetization: 0.6 μB/f.u.


It turns out (two) is the most stable, with the second structure 5.0 kJ/mol of atoms higher.


(one)
! MgV2S4N6Cl4 (GGA-PBE, relaxed); values from VASP
&SYSTEM
  ibrav = 0, nat = 17, ntyp = 5
/
ATOMIC_SPECIES
Cl 35.45 Cl.upf
S 32.06 S.upf
V 50.94 V.upf
N 14.01 N.upf
Mg 24.30 Mg.upf
CELL_PARAMETERS angstrom
-5.5512 1.9405 -1.3141
0.7048 -7.1103 -3.0739
-1.1024 -3.1951 7.2061
ATOMIC_POSITIONS crystal
Cl 0.7348 0.7251 0.7139
S 0.7362 0.2579 0.5875
Cl 0.3300 0.7915 0.9075
Cl 0.6467 0.1939 0.0666
V 0.2511 0.0120 0.1271
S 0.8087 0.7223 0.2194
N 0.6451 0.0981 0.6981
N 0.0198 0.3695 0.6690
N 0.3753 0.8929 0.2877
V 0.7595 0.9992 0.8828
S 0.2034 0.3029 0.8163
N 0.9943 0.6591 0.3658
Mg 0.0548 0.6484 0.6448
Cl 0.2555 0.2496 0.2989
N 0.9311 0.8791 0.1119
N 0.0693 0.1308 0.9034
S 0.2886 0.7178 0.3827
! ρ: 2.29 Mg/m³
! Total magnetization: 2.0 μB/f.u.
! Space group: No. 1


(two)
! MgV2S4N6Cl4 (GGA-PBE, relaxed); values from VASP
&SYSTEM
  ibrav = 0, nat = 17, ntyp = 5
/
ATOMIC_SPECIES
Cl 35.45 Cl.upf
S 32.06 S.upf
N 14.01 N.upf
V 50.94 V.upf
Mg 24.30 Mg.upf
CELL_PARAMETERS angstrom
-2.6042 1.2623 5.1532
-4.8943 -3.6411 -3.9316
3.8158 -7.5238 1.8973
ATOMIC_POSITIONS crystal
Cl 0.6414 0.2050 0.0816
S 0.2318 0.7444 0.4118
Cl 0.3586 0.7950 0.9184
S 0.7749 0.7207 0.1946
N 0.0792 0.1477 0.9213
N 0.9331 0.6967 0.3635
N 0.6505 0.1403 0.7234
S 0.7682 0.2556 0.5882
N 0.3495 0.8597 0.2766
V 0.2503 0.9809 0.1106
V 0.7497 0.0191 0.8894
Cl 0.1871 0.1960 0.3094
N 0.9208 0.8523 0.0787
Cl 0.8129 0.8040 0.6906
S 0.2251 0.2793 0.8054
N 0.0669 0.3033 0.6365
Mg 0.0000 0.0000 0.5000
! ρ: 2.28 Mg/m³
! Total magnetization: 2.0 μB/f.u.
! Space group: No. 2


It turns out (one) is the most stable, with the second structure 3.3 kJ/mol of atoms higher.


(one)
! BaCa2I6 (GGA-PBE, relaxed); values from VASP
&SYSTEM
  ibrav = 0, nat = 27, ntyp = 3
/
ATOMIC_SPECIES
I 126.90 I.upf
Ca 40.08 Ca.upf
Ba 137.33 Ba.upf
CELL_PARAMETERS angstrom
7.0325 -12.1806 0.0000
7.0325 12.1806 0.0000
0.0000 0.0000 7.2726
ATOMIC_POSITIONS crystal
I 0.5670 0.4705 0.2452
I 0.5295 0.0965 0.2452
I 0.2383 0.1368 0.2571
I 0.2108 0.4283 0.2391
I 0.4705 0.5670 0.7548
I 0.9035 0.4330 0.2452
Ca 0.3156 0.0000 0.5000
I 0.4283 0.2108 0.7609
I 0.7892 0.2175 0.7609
Ca 0.0000 0.6497 0.0000
I 0.7825 0.5717 0.7609
I 0.1368 0.2383 0.7429
Ca 0.0000 0.3156 0.5000
I 0.5717 0.7825 0.2391
I 0.2175 0.7892 0.2391
Ca 0.6497 0.0000 0.0000
I 0.1015 0.8632 0.7429
Ba 0.0000 0.0000 0.0000
I 0.8632 0.1015 0.2571
Ca 0.3503 0.3503 0.0000
I 0.4330 0.9035 0.7548
I 0.8985 0.7617 0.2571
Ba 0.6667 0.3333 0.5040
I 0.7617 0.8985 0.7429
Ca 0.6844 0.6844 0.5000
I 0.0965 0.5295 0.7548
Ba 0.3333 0.6667 0.4960
! ρ: 3.91 Mg/m³
! Total magnetization: 0.0 μB/f.u.
! Space group: No. 150


(two)
! BaCa2I6 (GGA-PBE, relaxed); values from VASP
&SYSTEM
  ibrav = 0, nat = 9, ntyp = 3
/
ATOMIC_SPECIES
I 126.90 I.upf
Ca 40.08 Ca.upf
Ba 137.33 Ba.upf
CELL_PARAMETERS angstrom
4.0189 -6.9610 0.0000
4.0189 6.9610 0.0000
0.0000 0.0000 7.6408
ATOMIC_POSITIONS crystal
I 0.6466 0.6466 0.2675
I 0.0000 0.3534 0.2675
I 0.6466 0.0000 0.7325
Ca 0.6667 0.3333 0.5000
I 0.3534 0.0000 0.2675
Ca 0.3333 0.6667 0.5000
Ba 0.0000 0.0000 0.0000
I 0.0000 0.6466 0.7325
I 0.3534 0.3534 0.7325
! ρ: 3.80 Mg/m³
! Total magnetization: 0.0 μB/f.u.
! Space group: No. 162


(three)
! BaCa2I6 (GGA-PBE, relaxed); values from VASP
&SYSTEM
  ibrav = 0, nat = 36, ntyp = 3
/
ATOMIC_SPECIES
I 126.90 I.upf
Ca 40.08 Ca.upf
Ba 137.33 Ba.upf
CELL_PARAMETERS angstrom
7.7695 0.0000 0.0000
0.0000 8.6577 0.0000
0.0000 1.3843 23.9333
ATOMIC_POSITIONS crystal
I 0.7923 0.5240 0.3120
I 0.6818 0.3437 0.6440
Ca 0.0122 0.2534 0.2526
I 0.1818 0.6563 0.8560
I 0.2640 0.8660 0.0234
I 0.7908 0.0366 0.7995
Ba 0.4687 0.1452 0.0963
Ba 0.9687 0.8548 0.4037
I 0.2837 0.3846 0.5147
Ca 0.4878 0.2534 0.7526
Ca 0.4683 0.6247 0.5885
Ba 0.5313 0.8548 0.9037
I 0.7360 0.1340 0.9766
I 0.2092 0.9634 0.2005
I 0.2163 0.3846 0.0147
I 0.7077 0.5240 0.8120
I 0.2246 0.1768 0.3590
Ca 0.5317 0.3753 0.4115
I 0.7092 0.0366 0.2995
I 0.2754 0.1768 0.8590
Ca 0.0317 0.6247 0.0885
I 0.7163 0.6154 0.4853
I 0.3182 0.6563 0.3560
I 0.2908 0.9634 0.7005
Ca 0.9683 0.3753 0.9115
I 0.7246 0.8232 0.1410
I 0.2360 0.8660 0.5234
Ba 0.0313 0.1452 0.5963
I 0.7837 0.6154 0.9853
I 0.8182 0.3437 0.1440
Ca 0.9878 0.7466 0.7474
I 0.2923 0.4760 0.1880
I 0.2077 0.4760 0.6880
Ca 0.5122 0.7466 0.2474
I 0.7640 0.1340 0.4766
I 0.7754 0.8232 0.6410
! ρ: 4.04 Mg/m³
! Total magnetization: 0.0 μB/f.u.
! Space group: No. 14


It turns out (two) is the most stable, with the second structure 2.4 kJ/mol of atoms higher.